Compound: Li5Mn2CoO8
Source: Materials Project
Functional: GGA+U
Structure: relaxed

a = 2.892 Å, b = 5.075 Å, c = 19.184 Å
α = 94.21°, β = 90.58°, γ = 90.12°
Fractional positions:
1 Li 0.000 0.000 0.000
2 Li 0.000 0.500 0.500
3 Li 0.003 0.247 0.750
4 Li 0.490 0.887 0.129
5 Li 0.492 0.253 0.249
6 Li 0.496 0.622 0.369
7 Li 0.504 0.378 0.631
8 Li 0.508 0.747 0.751
9 Li 0.510 0.113 0.871
10 Li 0.997 0.753 0.250
11 Mn 0.006 0.853 0.629
12 Mn 0.019 0.626 0.872
13 Mn 0.981 0.374 0.128
14 Mn 0.994 0.147 0.371
15 Co 0.500 0.000 0.500
16 Co 0.500 0.500 0.000
17 O 0.004 0.145 0.558
18 O 0.008 0.575 0.683
19 O 0.009 0.911 0.820
20 O 0.051 0.335 0.940
21 O 0.479 0.224 0.065
22 O 0.485 0.549 0.179
23 O 0.490 0.965 0.321
24 O 0.497 0.305 0.431
25 O 0.503 0.695 0.569
26 O 0.510 0.035 0.679
27 O 0.515 0.451 0.821
28 O 0.521 0.776 0.935
29 O 0.949 0.665 0.060
30 O 0.991 0.089 0.180
31 O 0.992 0.425 0.317
32 O 0.996 0.855 0.442

Computed properties:
* space group: P-1 (2)
* DFT formation energy: -1992.1 meV/atom
* calculated density: 3.922 g cm⁻³
* spin magnetization: 3.9 μB per cell